No. 1
{"formula": "HgO", "functional": "PBE", "state": "relaxed", "lattice_angstrom": [[0.000, 2.467, 2.467], [2.467, 0.000, 2.467], [2.467, 2.467, 0.000]], "species": ["Hg", "O"], "fractional_positions": [[0.000, 0.000, 0.000], [0.500, 0.500, 0.500]], "delta_e_f_kj_per_mol_atoms": -47.3, "final_energy_ev_per_atom": -2.772, "energy_mp2020_ev_per_cell": -6.232}

=====

No. 2
{"formula": "Nd2SbO2", "functional": "PBE", "state": "relaxed", "lattice_angstrom": [[-2.001, 2.001, 6.923], [2.001, -2.001, 6.923], [2.001, 2.001, -6.923]], "species": ["Nd", "Nd", "Sb", "O", "O"], "fractional_positions": [[0.164, 0.164, 0.000], [0.836, 0.836, 0.000], [0.500, 0.500, 0.000], [0.250, 0.750, 0.500], [0.750, 0.250, 0.500]], "delta_e_f_kj_per_mol_atoms": -277.2, "final_energy_ev_per_atom": -7.311, "energy_mp2020_ev_per_cell": -37.928, "de_polymorph_ev_per_fu": 0.00}

=====

No. 3
{"formula": "Cd11C2N10", "functional": "PBE", "state": "relaxed", "lattice_angstrom": [[14.450, 0.000, 0.000], [0.000, 14.450, 0.000], [0.000, 0.000, 3.410]], "species": ["Cd", "Cd", "Cd", "Cd", "Cd", "Cd", "Cd", "Cd", "Cd", "Cd", "Cd", "Cd", "Cd", "Cd", "Cd", "Cd", "Cd", "Cd", "Cd", "Cd", "Cd", "Cd", "C", "C", "C", "C", "N", "N", "N", "N", "N", "N", "N", "N", "N", "N", "N", "N", "N", "N", "N", "N", "N", "N", "N", "N"], "fractional_positions": [[0.000, 0.000, 0.000], [0.018, 0.208, 0.500], [0.095, 0.611, 0.500], [0.111, 0.405, 0.000], [0.162, 0.838, 0.000], [0.208, 0.018, 0.500], [0.292, 0.518, 0.000], [0.338, 0.338, 0.500], [0.389, 0.905, 0.500], [0.405, 0.111, 0.000], [0.482, 0.708, 0.000], [0.500, 0.500, 0.500], [0.518, 0.292, 0.000], [0.595, 0.889, 0.000], [0.611, 0.095, 0.500], [0.662, 0.662, 0.500], [0.708, 0.482, 0.000], [0.792, 0.982, 0.500], [0.838, 0.162, 0.000], [0.889, 0.595, 0.000], [0.905, 0.389, 0.500], [0.982, 0.792, 0.500], [0.199, 0.199, 0.000], [0.301, 0.699, 0.500], [0.699, 0.301, 0.500], [0.801, 0.801, 0.000], [0.014, 0.684, 0.000], [0.082, 0.918, 0.500], [0.138, 0.138, 0.000], [0.184, 0.486, 0.500], [0.240, 0.760, 0.500], [0.260, 0.260, 0.000], [0.316, 0.986, 0.000], [0.362, 0.638, 0.500], [0.418, 0.418, 0.000], [0.486, 0.184, 0.500], [0.514, 0.816, 0.500], [0.582, 0.582, 0.000], [0.638, 0.362, 0.500], [0.684, 0.014, 0.000], [0.740, 0.740, 0.000], [0.760, 0.240, 0.500], [0.816, 0.514, 0.500], [0.862, 0.862, 0.000], [0.918, 0.082, 0.500], [0.986, 0.316, 0.000]], "delta_e_f_kj_per_mol_atoms": 28.8, "final_energy_ev_per_atom": -4.413, "energy_mp2020_ev_per_cell": -210.232}

=====

Question: Which formula does entry 1 have?
Answer: HgO